(1)
Here is an optimized crystal structure of Ti3Ga from Materials Project. Energies are from GGA-PBE.

Output
Total energy ... -6.47 eV/atom
Energy relative to the elements ... 0.210 eV per atom
Total magnetic moment ... 0.39 μB/f.u.

```
data_Ti3Ga
_chemical_formula_sum 'Ti3 Ga1'
_symmetry_space_group_name_H-M 'P 1'
_symmetry_Int_Tables_number 1
_symmetry_space_group_name_Hall 'P 1'
_cell_length_a 5.471
_cell_length_b 5.471
_cell_length_c 2.745
_cell_angle_alpha 90.00
_cell_angle_beta 90.00
_cell_angle_gamma 120.00
loop_
_atom_site_label
_atom_site_type_symbol
_atom_site_fract_x
_atom_site_fract_y
_atom_site_fract_z
Ti1 Ti 0.000 0.500 0.000
Ti2 Ti 0.500 0.000 0.000
Ti3 Ti 0.500 0.500 0.000
Ga1 Ga 0.000 0.000 0.000
```


(2)
Here is an optimized crystal structure of Ti5Ga3 from Materials Project. Energies are from GGA-PBE.

Output
Total energy ... -6.48 eV/atom
Energy relative to the elements ... -0.408 eV per atom
Relative energy among the computed polymorphs ... 0.14 eV per formula unit

```
data_Ti5Ga3
_chemical_formula_sum 'Ti10 Ga6'
_symmetry_space_group_name_H-M 'P 1'
_symmetry_Int_Tables_number 1
_symmetry_space_group_name_Hall 'P 1'
_cell_length_a 7.617
_cell_length_b 7.617
_cell_length_c 5.311
_cell_angle_alpha 90.00
_cell_angle_beta 90.00
_cell_angle_gamma 120.00
loop_
_atom_site_label
_atom_site_type_symbol
_atom_site_fract_x
_atom_site_fract_y
_atom_site_fract_z
Ti1 Ti 0.000 0.238 0.250
Ti2 Ti 0.000 0.762 0.750
Ti3 Ti 0.238 0.000 0.250
Ti4 Ti 0.238 0.238 0.750
Ti5 Ti 0.333 0.667 0.000
Ti6 Ti 0.333 0.667 0.500
Ti7 Ti 0.667 0.333 0.000
Ti8 Ti 0.667 0.333 0.500
Ti9 Ti 0.762 0.000 0.750
Ti10 Ti 0.762 0.762 0.250
Ga1 Ga 0.000 0.394 0.750
Ga2 Ga 0.000 0.606 0.250
Ga3 Ga 0.394 0.000 0.750
Ga4 Ga 0.394 0.394 0.250
Ga5 Ga 0.606 0.000 0.250
Ga6 Ga 0.606 0.606 0.750
```


(3)
Here is an optimized crystal structure of Ti5Ga3 from Materials Project. Energies are from GGA-PBE.

Output
Total energy ... -6.50 eV/atom
Energy relative to the elements ... -0.426 eV per atom
Total magnetic moment ... 2.71 μB/f.u.
Relative energy among the computed polymorphs ... 0.00 eV per formula unit

```
data_Ti5Ga3
_chemical_formula_sum 'Ti10 Ga6'
_symmetry_space_group_name_H-M 'P 1'
_symmetry_Int_Tables_number 1
_symmetry_space_group_name_Hall 'P 1'
_cell_length_a 7.679
_cell_length_b 7.679
_cell_length_c 7.679
_cell_angle_alpha 96.03
_cell_angle_beta 96.03
_cell_angle_gamma 142.19
loop_
_atom_site_label
_atom_site_type_symbol
_atom_site_fract_x
_atom_site_fract_y
_atom_site_fract_z
Ti1 Ti 0.077 0.777 0.855
Ti2 Ti 0.223 0.077 0.300
Ti3 Ti 0.250 0.750 0.500
Ti4 Ti 0.277 0.577 0.855
Ti5 Ti 0.423 0.277 0.700
Ti6 Ti 0.577 0.723 0.300
Ti7 Ti 0.723 0.423 0.145
Ti8 Ti 0.750 0.250 0.500
Ti9 Ti 0.777 0.923 0.700
Ti10 Ti 0.923 0.223 0.145
Ga1 Ga 0.165 0.335 0.500
Ga2 Ga 0.250 0.250 0.000
Ga3 Ga 0.335 0.835 0.170
Ga4 Ga 0.665 0.165 0.830
Ga5 Ga 0.750 0.750 0.000
Ga6 Ga 0.835 0.665 0.500
```


(4)
Here is an optimized crystal structure of Ti3Ga from Materials Project. Energies are from GGA-PBE.

Output
Total energy ... -6.87 eV/atom
Energy relative to the elements ... -0.192 eV per atom
Total magnetic moment ... 1.73 μB/f.u.

```
data_Ti3Ga
_chemical_formula_sum 'Ti3 Ga1'
_symmetry_space_group_name_H-M 'P 1'
_symmetry_Int_Tables_number 1
_symmetry_space_group_name_Hall 'P 1'
_cell_length_a 4.522
_cell_length_b 4.522
_cell_length_c 4.522
_cell_angle_alpha 60.00
_cell_angle_beta 60.00
_cell_angle_gamma 60.00
loop_
_atom_site_label
_atom_site_type_symbol
_atom_site_fract_x
_atom_site_fract_y
_atom_site_fract_z
Ti1 Ti 0.000 0.000 0.000
Ti2 Ti 0.250 0.250 0.250
Ti3 Ti 0.750 0.750 0.750
Ga1 Ga 0.500 0.500 0.500
```


(5)
Here is an optimized crystal structure of TiGa from Materials Project. Energies are from GGA-PBE.

Output
Total energy ... -5.93 eV/atom
Energy relative to the elements ... -0.472 eV per atom

```
data_TiGa
_chemical_formula_sum 'Ti1 Ga1'
_symmetry_space_group_name_H-M 'P 1'
_symmetry_Int_Tables_number 1
_symmetry_space_group_name_Hall 'P 1'
_cell_length_a 2.816
_cell_length_b 2.816
_cell_length_c 3.974
_cell_angle_alpha 90.00
_cell_angle_beta 90.00
_cell_angle_gamma 90.00
loop_
_atom_site_label
_atom_site_type_symbol
_atom_site_fract_x
_atom_site_fract_y
_atom_site_fract_z
Ti1 Ti 0.000 0.000 0.000
Ga1 Ga 0.500 0.500 0.500
```


(6)
Here is an optimized crystal structure of Ti3Ga from Materials Project. Energies are from GGA-PBE.

Output
Total energy ... -6.99 eV/atom
Energy relative to the elements ... -0.310 eV per atom

```
data_Ti3Ga
_chemical_formula_sum 'Ti3 Ga1'
_symmetry_space_group_name_H-M 'P 1'
_symmetry_Int_Tables_number 1
_symmetry_space_group_name_Hall 'P 1'
_cell_length_a 5.092
_cell_length_b 5.092
_cell_length_c 5.092
_cell_angle_alpha 134.70
_cell_angle_beta 134.70
_cell_angle_gamma 66.00
loop_
_atom_site_label
_atom_site_type_symbol
_atom_site_fract_x
_atom_site_fract_y
_atom_site_fract_z
Ti1 Ti 0.000 0.000 0.000
Ti2 Ti 0.250 0.750 0.500
Ti3 Ti 0.750 0.250 0.500
Ga1 Ga 0.500 0.500 0.000
```


(7)
Here is an optimized crystal structure of Tm3Ga2 from Materials Project. Energies are from GGA-PBE.

Output
Total energy ... -4.44 eV/atom
Energy relative to the elements ... -0.544 eV per atom

```
data_Tm3Ga2
_chemical_formula_sum 'Tm24 Ga16'
_symmetry_space_group_name_H-M 'P 1'
_symmetry_Int_Tables_number 1
_symmetry_space_group_name_Hall 'P 1'
_cell_length_a 10.944
_cell_length_b 10.944
_cell_length_c 10.944
_cell_angle_alpha 116.85
_cell_angle_beta 116.85
_cell_angle_gamma 95.55
loop_
_atom_site_label
_atom_site_type_symbol
_atom_site_fract_x
_atom_site_fract_y
_atom_site_fract_z
Tm1 Tm 0.068 0.931 0.271
Tm2 Tm 0.069 0.340 0.136
Tm3 Tm 0.146 0.646 0.500
Tm4 Tm 0.160 0.431 0.864
Tm5 Tm 0.169 0.331 0.500
Tm6 Tm 0.204 0.932 0.864
Tm7 Tm 0.296 0.160 0.729
Tm8 Tm 0.331 0.831 0.162
Tm9 Tm 0.340 0.204 0.271
Tm10 Tm 0.354 0.854 0.500
Tm11 Tm 0.431 0.568 0.271
Tm12 Tm 0.432 0.704 0.864
Tm13 Tm 0.568 0.296 0.136
Tm14 Tm 0.569 0.432 0.729
Tm15 Tm 0.646 0.146 0.500
Tm16 Tm 0.660 0.796 0.729
Tm17 Tm 0.669 0.169 0.838
Tm18 Tm 0.704 0.840 0.271
Tm19 Tm 0.796 0.068 0.136
Tm20 Tm 0.831 0.669 0.500
Tm21 Tm 0.840 0.569 0.136
Tm22 Tm 0.854 0.354 0.500
Tm23 Tm 0.931 0.660 0.864
Tm24 Tm 0.932 0.069 0.729
Ga1 Ga 0.000 0.000 0.000
Ga2 Ga 0.023 0.878 0.500
Ga3 Ga 0.118 0.618 0.735
Ga4 Ga 0.122 0.622 0.145
Ga5 Ga 0.250 0.250 0.000
Ga6 Ga 0.378 0.523 0.500
Ga7 Ga 0.382 0.118 0.500
Ga8 Ga 0.477 0.977 0.855
Ga9 Ga 0.500 0.500 0.000
Ga10 Ga 0.523 0.023 0.145
Ga11 Ga 0.618 0.882 0.500
Ga12 Ga 0.622 0.477 0.500
Ga13 Ga 0.750 0.750 0.000
Ga14 Ga 0.878 0.378 0.855
Ga15 Ga 0.882 0.382 0.265
Ga16 Ga 0.977 0.122 0.500
```


(8)
Here is an optimized crystal structure of Tm3Ga5 from Materials Project. Energies are from GGA-PBE.

Output
Total energy ... -4.20 eV/atom
Energy relative to the elements ... -0.628 eV per atom

```
data_Tm3Ga5
_chemical_formula_sum 'Tm12 Ga20'
_symmetry_space_group_name_H-M 'P 1'
_symmetry_Int_Tables_number 1
_symmetry_space_group_name_Hall 'P 1'
_cell_length_a 11.268
_cell_length_b 9.625
_cell_length_c 6.049
_cell_angle_alpha 90.00
_cell_angle_beta 90.00
_cell_angle_gamma 90.00
loop_
_atom_site_label
_atom_site_type_symbol
_atom_site_fract_x
_atom_site_fract_y
_atom_site_fract_z
Tm1 Tm 0.073 0.250 0.152
Tm2 Tm 0.148 0.510 0.611
Tm3 Tm 0.148 0.990 0.611
Tm4 Tm 0.352 0.010 0.111
Tm5 Tm 0.352 0.490 0.111
Tm6 Tm 0.427 0.750 0.652
Tm7 Tm 0.573 0.250 0.348
Tm8 Tm 0.648 0.510 0.889
Tm9 Tm 0.648 0.990 0.889
Tm10 Tm 0.852 0.010 0.389
Tm11 Tm 0.852 0.490 0.389
Tm12 Tm 0.927 0.750 0.848
Ga1 Ga 0.006 0.250 0.627
Ga2 Ga 0.091 0.551 0.126
Ga3 Ga 0.091 0.949 0.126
Ga4 Ga 0.201 0.750 0.893
Ga5 Ga 0.249 0.750 0.326
Ga6 Ga 0.251 0.250 0.826
Ga7 Ga 0.299 0.250 0.393
Ga8 Ga 0.409 0.051 0.626
Ga9 Ga 0.409 0.449 0.626
Ga10 Ga 0.494 0.750 0.127
Ga11 Ga 0.506 0.250 0.873
Ga12 Ga 0.591 0.551 0.374
Ga13 Ga 0.591 0.949 0.374
Ga14 Ga 0.701 0.750 0.607
Ga15 Ga 0.749 0.750 0.174
Ga16 Ga 0.751 0.250 0.674
Ga17 Ga 0.799 0.250 0.107
Ga18 Ga 0.909 0.051 0.874
Ga19 Ga 0.909 0.449 0.874
Ga20 Ga 0.994 0.750 0.373
```


(9)
Here is an optimized crystal structure of TmGa3 from Materials Project. Energies are from GGA-PBE.

Output
Total energy ... -3.88 eV/atom
Energy relative to the elements ... -0.492 eV per atom

```
data_TmGa3
_chemical_formula_sum 'Tm2 Ga6'
_symmetry_space_group_name_H-M 'P 1'
_symmetry_Int_Tables_number 1
_symmetry_space_group_name_Hall 'P 1'
_cell_length_a 6.180
_cell_length_b 6.180
_cell_length_c 4.608
_cell_angle_alpha 90.00
_cell_angle_beta 90.00
_cell_angle_gamma 120.00
loop_
_atom_site_label
_atom_site_type_symbol
_atom_site_fract_x
_atom_site_fract_y
_atom_site_fract_z
Tm1 Tm 0.333 0.667 0.250
Tm2 Tm 0.667 0.333 0.750
Ga1 Ga 0.152 0.303 0.750
Ga2 Ga 0.152 0.848 0.750
Ga3 Ga 0.303 0.152 0.250
Ga4 Ga 0.697 0.848 0.750
Ga5 Ga 0.848 0.152 0.250
Ga6 Ga 0.848 0.697 0.250
```


(10)
Here is an optimized crystal structure of TmGa3 from Materials Project. Energies are from GGA-PBE.

Output
Total energy ... -3.91 eV/atom
Energy relative to the elements ... -0.518 eV per atom

```
data_TmGa3
_chemical_formula_sum 'Tm1 Ga3'
_symmetry_space_group_name_H-M 'P 1'
_symmetry_Int_Tables_number 1
_symmetry_space_group_name_Hall 'P 1'
_cell_length_a 4.246
_cell_length_b 4.246
_cell_length_c 4.246
_cell_angle_alpha 90.00
_cell_angle_beta 90.00
_cell_angle_gamma 90.00
loop_
_atom_site_label
_atom_site_type_symbol
_atom_site_fract_x
_atom_site_fract_y
_atom_site_fract_z
Tm1 Tm 0.000 0.000 0.000
Ga1 Ga 0.000 0.500 0.500
Ga2 Ga 0.500 0.000 0.500
Ga3 Ga 0.500 0.500 0.000
```


(11)
Here is an optimized crystal structure of Tm2ZnGa from Materials Project. Energies are from GGA-PBE.

Output
Total energy ... -3.79 eV/atom
Energy relative to the elements ... -0.483 eV per atom

```
data_Tm2ZnGa
_chemical_formula_sum 'Tm2 Zn1 Ga1'
_symmetry_space_group_name_H-M 'P 1'
_symmetry_Int_Tables_number 1
_symmetry_space_group_name_Hall 'P 1'
_cell_length_a 4.982
_cell_length_b 4.982
_cell_length_c 4.982
_cell_angle_alpha 60.00
_cell_angle_beta 60.00
_cell_angle_gamma 60.00
loop_
_atom_site_label
_atom_site_type_symbol
_atom_site_fract_x
_atom_site_fract_y
_atom_site_fract_z
Tm1 Tm 0.250 0.250 0.250
Tm2 Tm 0.750 0.750 0.750
Zn1 Zn 0.000 0.000 0.000
Ga1 Ga 0.500 0.500 0.500
```


(12)
Here is an optimized crystal structure of UGa3 from Materials Project. Energies are from GGA-PBE.

Output
Total energy ... -5.33 eV/atom
Energy relative to the elements ... -0.239 eV per atom

```
data_UGa3
_chemical_formula_sum 'U1 Ga3'
_symmetry_space_group_name_H-M 'P 1'
_symmetry_Int_Tables_number 1
_symmetry_space_group_name_Hall 'P 1'
_cell_length_a 4.244
_cell_length_b 4.244
_cell_length_c 4.244
_cell_angle_alpha 90.00
_cell_angle_beta 90.00
_cell_angle_gamma 90.00
loop_
_atom_site_label
_atom_site_type_symbol
_atom_site_fract_x
_atom_site_fract_y
_atom_site_fract_z
U1 U 0.000 0.000 0.000
Ga1 Ga 0.000 0.500 0.500
Ga2 Ga 0.500 0.000 0.500
Ga3 Ga 0.500 0.500 0.000
```


- Look up the energy relative to the elements of the tenth one.
  -0.518 eV per atom


- What is the total energy in the seventh record?
  -4.44 eV/atom


- energy relative to the elements of number 4 (Ti3Ga)?
  -0.192 eV per atom